A relaxed structure of HgSeO3, computed with PBE.

Computed properties:
space-group type	No. 62
energy relative to the elements	-5.23	eV per formula unit
calculated total energy	-0.3206	Ry/atom

abc: 6.323 8.692 6.158
angles: 90.00 90.00 90.00
Sites, in units of the cell vectors:
Hg: 0.000 0.000 0.000
Hg: 0.000 0.500 0.000
Hg: 0.500 0.000 0.500
Hg: 0.500 0.500 0.500
Se: 0.078 0.250 0.496
Se: 0.422 0.750 0.996
Se: 0.578 0.250 0.004
Se: 0.922 0.750 0.504
O: 0.156 0.250 0.235
O: 0.213 0.092 0.615
O: 0.213 0.408 0.615
O: 0.287 0.592 0.115
O: 0.287 0.908 0.115
O: 0.344 0.750 0.735
O: 0.656 0.250 0.265
O: 0.713 0.092 0.885
O: 0.713 0.408 0.885
O: 0.787 0.592 0.385
O: 0.787 0.908 0.385
O: 0.844 0.750 0.765